1.
Computed, not measured: a geometry-optimized AuI structure at the PBE level of DFT.

Computed properties:
Raw total energy (eV per cell): -19.80
V (Å³ per atom): 39.79
Energy of formation (eV per formula unit): -0.53

Cell: 4.6053 4.6053 15.0092 Å, 90.00 90.00 90.00°
Element x y z (fractional)
Au  0.0000  0.0000  0.0000
Au  0.0000  0.5000  0.5000
Au  0.5000  0.0000  0.5000
Au  0.5000  0.5000  0.0000
I  0.2500  0.2500  0.1373
I  0.2500  0.2500  0.6373
I  0.7500  0.7500  0.3627
I  0.7500  0.7500  0.8627

***

2.
Computed, not measured: a geometry-optimized Ti2Be17 structure at the PBE level of DFT.

Computed properties:
Raw total energy (eV per cell): -166.27
V (Å³ per atom): 8.76
Energy of formation (eV per formula unit): -3.78

Cell: 7.3301 7.3301 7.1571 Å, 90.00 90.00 120.00°
Element x y z (fractional)
Ti  0.0000  0.0000  0.2500
Ti  0.0000  0.0000  0.7500
Ti  0.3333  0.6667  0.2500
Ti  0.6667  0.3333  0.7500
Be  0.0000  0.5000  0.0000
Be  0.0000  0.5000  0.5000
Be  0.0389  0.3696  0.7500
Be  0.0389  0.6693  0.7500
Be  0.1644  0.3288  0.0149
Be  0.1644  0.3288  0.4851
Be  0.1644  0.8356  0.0149
Be  0.1644  0.8356  0.4851
Be  0.3288  0.1644  0.5149
Be  0.3288  0.1644  0.9851
Be  0.3307  0.3696  0.7500
Be  0.3307  0.9611  0.7500
Be  0.3333  0.6667  0.6020
Be  0.3333  0.6667  0.8980
Be  0.3696  0.0389  0.2500
Be  0.3696  0.3307  0.2500
Be  0.5000  0.0000  0.0000
Be  0.5000  0.0000  0.5000
Be  0.5000  0.5000  0.0000
Be  0.5000  0.5000  0.5000
Be  0.6304  0.6693  0.7500
Be  0.6304  0.9611  0.7500
Be  0.6667  0.3333  0.1020
Be  0.6667  0.3333  0.3980
Be  0.6693  0.0389  0.2500
Be  0.6693  0.6304  0.2500
Be  0.6712  0.8356  0.0149
Be  0.6712  0.8356  0.4851
Be  0.8356  0.1644  0.5149
Be  0.8356  0.1644  0.9851
Be  0.8356  0.6712  0.5149
Be  0.8356  0.6712  0.9851
Be  0.9611  0.3307  0.2500
Be  0.9611  0.6304  0.2500

***

3.
Computed, not measured: a geometry-optimized TaN3F12 structure at the PBE level of DFT.

Computed properties:
Raw total energy (eV per cell): -64.56
V (Å³ per atom): 15.89
Energy of formation (eV per formula unit): -10.26

Cell: 8.4067 8.4067 4.4582 Å, 95.95 95.95 124.15°
Element x y z (fractional)
Ta  0.0000  0.0000  0.0000
N  0.0000  0.0000  0.5000
N  0.0000  0.5000  0.0000
N  0.5000  0.0000  0.0000
F  0.0826  0.2634  0.0930
F  0.1379  0.5664  0.7554
F  0.2634  0.0826  0.0930
F  0.3355  0.4328  0.6901
F  0.4328  0.3355  0.6901
F  0.4336  0.8621  0.2446
F  0.5664  0.1379  0.7554
F  0.5672  0.6645  0.3099
F  0.6645  0.5672  0.3099
F  0.7366  0.9174  0.9070
F  0.8621  0.4336  0.2446
F  0.9174  0.7366  0.9070